#a
## Li5V4O8 (PBE+U)

Data for a geometry-optimized Li5V4O8 structure.

Calculated values
volume	472.0	Å³ per cell

Cell: 6.0769 6.0769 14.7592 Å, 90.00 90.00 120.00°
Space group R3m (No. 160, hexagonal axes)
Asymmetric unit:
1 Li 0.0000 0.0000 0.0000 x3
2 Li 0.0000 0.0000 0.1428 x3
3 Li 0.1952 0.3904 0.9484 x9
4 V 0.0000 0.0000 0.6250 x3
5 V 0.0003 0.5001 0.1236 x9
6 O 0.0000 0.0000 0.3759 x3
7 O 0.0000 0.0000 0.8721 x3
8 O 0.0108 0.5054 0.3809 x9
9 O 0.1735 0.3469 0.2014 x9

***

#b
## Li5V4O8 (PBE+U)

Data for a geometry-optimized Li5V4O8 structure.

Calculated values
volume	607.5	Å³ per cell

Cell: 8.4692 8.4692 8.4692 Å, 90.00 90.00 90.00°
Space group F-43m (No. 216)
Asymmetric unit:
1 Li 0.0000 0.0000 0.0000 x4
2 Li 0.1457 0.1457 0.8543 x16
3 V 0.1252 0.1252 0.3748 x16
4 O 0.1203 0.1203 0.6203 x16
5 O 0.1293 0.1293 0.1293 x16

***

The energy of each structure relative to the most stable one, in meV/atom, is as follows: #a 0; #b 43.

***

#a
## Li3V8O11 (PBE+U)

Data for a geometry-optimized Li3V8O11 structure.

Calculated values
volume	440.3	Å³ per cell

Cell: 9.5848 4.3439 10.9009 Å, 90.00 104.06 90.00°
Space group C2/m (No. 12)
Asymmetric unit:
1 Li 0.0000 0.0000 0.0000 x2
2 Li 0.0853 0.0000 0.6335 x4
3 V 0.0443 0.5000 0.8214 x4
4 V 0.1320 0.5000 0.4622 x4
5 V 0.1825 0.0000 0.2758 x4
6 V 0.2268 0.5000 0.0938 x4
7 O 0.0000 0.5000 0.0000 x2
8 O 0.0449 0.0000 0.8199 x4
9 O 0.0864 0.5000 0.6409 x4
10 O 0.1480 0.0000 0.4596 x4
11 O 0.1689 0.5000 0.2727 x4
12 O 0.2389 0.0000 0.0945 x4

***

#b
## Li3V8O11 (PBE+U)

Data for a geometry-optimized Li3V8O11 structure.

Calculated values
volume	198.8	Å³ per cell

Cell: 4.1444 5.0256 10.7576 Å, 77.64 89.76 65.84°
Space group P1 (No. 1)
Asymmetric unit:
1 Li 0.0000 0.0000 0.0000 x1
2 Li 0.0856 0.8306 0.6308 x1
3 Li 0.9123 0.1765 0.3655 x1
4 V 0.1872 0.6382 0.2609 x1
5 V 0.2789 0.4348 0.8928 x1
6 V 0.3709 0.2560 0.5428 x1
7 V 0.4571 0.0871 0.1835 x1
8 V 0.5258 0.9569 0.8141 x1
9 V 0.6274 0.7465 0.4562 x1
10 V 0.7148 0.5549 0.0994 x1
11 V 0.8256 0.3503 0.7370 x1
12 O 0.0550 0.8969 0.8202 x1
13 O 0.1457 0.7104 0.4489 x1
14 O 0.2235 0.5424 0.0788 x1
15 O 0.3056 0.3947 0.7097 x1
16 O 0.4057 0.1903 0.3636 x1
17 O 0.4990 0.0028 0.9982 x1
18 O 0.5955 0.8138 0.6399 x1
19 O 0.6910 0.6280 0.2821 x1
20 O 0.7586 0.4775 0.9128 x1
21 O 0.8531 0.2927 0.5480 x1
22 O 0.9522 0.0975 0.1805 x1

***

The energy of each structure relative to the most stable one, in meV/atom, is as follows: #a 0; #b 125.

***

#a
## LiV2O5 (PBE+U)

Data for a geometry-optimized LiV2O5 structure.

Calculated values
volume	420.3	Å³ per cell

Cell: 3.6635 10.0375 11.4307 Å, 90.00 90.00 90.00°
Space group Cmcm (No. 63)
Asymmetric unit:
1 Li 0.0000 0.0988 0.2500 x4
2 V 0.0000 0.2058 0.6016 x8
3 O 0.0000 0.0452 0.6263 x8
4 O 0.0000 0.2399 0.0710 x8
5 O 0.0000 0.2850 0.7500 x4

***

#b
## LiV2O5 (PBE+U)

Data for a geometry-optimized LiV2O5 structure.

Calculated values
volume	203.5	Å³ per cell

Cell: 4.9139 3.5676 11.6068 Å, 90.00 90.06 90.00°
Space group Pm (No. 6)
Asymmetric unit:
1 Li 0.0000 0.0000 0.0000 x1
2 Li 0.3552 0.5000 0.4992 x1
3 V 0.5389 0.5000 0.9115 x1
4 V 0.6060 0.5000 0.2096 x1
5 V 0.7489 0.0000 0.7099 x1
6 V 0.8158 0.0000 0.4116 x1
7 O 0.0787 0.0000 0.7038 x1
8 O 0.1497 0.0000 0.4405 x1
9 O 0.2056 0.5000 0.9410 x1
10 O 0.2763 0.5000 0.2028 x1
11 O 0.6277 0.5000 0.7417 x1
12 O 0.6428 0.0000 0.5632 x1
13 O 0.6704 0.5000 0.3851 x1
14 O 0.6842 0.0000 0.8852 x1
15 O 0.7133 0.5000 0.0632 x1
16 O 0.7269 0.0000 0.2417 x1

***

#c
## LiV2O5 (PBE+U)

Data for a geometry-optimized LiV2O5 structure.

Calculated values
volume	393.9	Å³ per cell

Cell: 7.7051 6.6871 7.6444 Å, 90.00 90.00 90.00°
Space group Pnma (No. 62)
Asymmetric unit:
1 Li 0.0000 0.0000 0.0000 x4
2 V 0.1245 0.2500 0.3712 x4
3 V 0.1693 0.7500 0.2703 x4
4 O 0.0556 0.7500 0.4974 x4
5 O 0.1210 0.2500 0.8352 x4
6 O 0.1224 0.0384 0.2369 x8
7 O 0.1902 0.7500 0.0040 x4

***

The energy of each structure relative to the most stable one, in meV/atom, is as follows: #a 58; #b 51; #c 0.

***

#a
## LiV3Zn2O8 (PBE+U)

Data for a geometry-optimized LiV3Zn2O8 structure.

Calculated values
volume	301.9	Å³ per cell

Cell: 5.9650 5.9680 10.3366 Å, 106.72 90.01 119.60°
Space group P1 (No. 1)
Asymmetric unit:
1 Li 0.0000 0.0000 0.0000 x1
2 Li 0.4971 0.9975 0.5010 x1
3 V 0.0022 0.5048 0.0017 x1
4 V 0.2428 0.0016 0.2490 x1
5 V 0.4950 0.4960 0.4977 x1
6 V 0.4965 0.0015 0.9997 x1
7 V 0.7491 0.9967 0.7528 x1
8 V 0.9974 0.9946 0.4970 x1
9 Zn 0.0666 0.6128 0.6885 x1
10 Zn 0.4263 0.3738 0.8076 x1
11 Zn 0.5620 0.6145 0.1875 x1
12 Zn 0.9250 0.3788 0.3075 x1
13 O 0.0871 0.2452 0.8730 x1
14 O 0.1178 0.7849 0.3833 x1
15 O 0.1286 0.7364 0.8908 x1
16 O 0.1304 0.2522 0.3883 x1
17 O 0.3527 0.2458 0.6057 x1
18 O 0.3527 0.7465 0.1199 x1
19 O 0.3658 0.2135 0.1227 x1
20 O 0.4065 0.7423 0.6208 x1
21 O 0.5930 0.2598 0.3828 x1
22 O 0.6298 0.7813 0.8659 x1
23 O 0.6382 0.7502 0.3922 x1
24 O 0.6467 0.2480 0.8730 x1
25 O 0.8591 0.7532 0.6191 x1
26 O 0.8664 0.2562 0.1053 x1
27 O 0.8682 0.2026 0.6239 x1
28 O 0.9019 0.7470 0.1226 x1

***

#b
## LiV3Zn2O8 (PBE+U)

Data for a geometry-optimized LiV3Zn2O8 structure.

Calculated values
volume	451.3	Å³ per cell

Cell: 5.9737 5.9737 14.6046 Å, 90.00 90.00 120.00°
Space group R-3m (No. 166, hexagonal axes)
Asymmetric unit:
1 Li 0.0000 0.0000 0.0000 x3
2 V 0.0000 0.5000 0.5000 x9
3 Zn 0.0000 0.0000 0.3794 x6
4 O 0.0000 0.0000 0.2426 x6
5 O 0.0246 0.5123 0.7612 x18

***

The energy of each structure relative to the most stable one, in meV/atom, is as follows: #a 0; #b 24.